# 1
First-principles (GGA+U) data for Li3Mn2CoO6 after structural relaxation, as listed in the Materials Project.

abc: 5.1168 5.1168 5.1986
angles: 100.38 100.38 118.72
Atoms (fractional coordinates):
Li (0.0000, 0.0000, 0.0000)
Li (0.3316, 0.6684, 0.0000)
Li (0.6684, 0.3316, 0.0000)
Mn (0.1659, 0.8341, 0.5000)
Mn (0.8341, 0.1659, 0.5000)
Co (0.5000, 0.5000, 0.5000)
O (0.0803, 0.4337, 0.2714)
O (0.2221, 0.2221, 0.7295)
O (0.4337, 0.0803, 0.2714)
O (0.5663, 0.9197, 0.7286)
O (0.7779, 0.7779, 0.2705)
O (0.9197, 0.5663, 0.7286)

The value obtained for the energy above the most stable polymorph in this dataset is 0.40 kcal/mol of atoms. The formation energy comes out at -1.9860 eV/atom. The calculation puts the energy at -6.299 eV/atom. Its MP2020-corrected energy is -84.68 eV/cell.

---

# 2
First-principles (GGA+U) data for Mg2Nb2CoO8 after structural relaxation, as listed in the Materials Project.

abc: 10.0351 10.0351 5.2013
angles: 90.07 90.07 35.01
Atoms (fractional coordinates):
Mg (0.0860, 0.3708, 0.2541)
Mg (0.3708, 0.0860, 0.7541)
Mg (0.6292, 0.9140, 0.2459)
Mg (0.9140, 0.6292, 0.7459)
Nb (0.2162, 0.5530, 0.2433)
Nb (0.4470, 0.7838, 0.2567)
Nb (0.5530, 0.2162, 0.7433)
Nb (0.7838, 0.4470, 0.7567)
Co (0.1473, 0.8527, 0.7500)
Co (0.8527, 0.1473, 0.2500)
O (0.0453, 0.3364, 0.6154)
O (0.0695, 0.8153, 0.0855)
O (0.1847, 0.9305, 0.4145)
O (0.2077, 0.4173, 0.9590)
O (0.3159, 0.5427, 0.5823)
O (0.3364, 0.0454, 0.1154)
O (0.4173, 0.2077, 0.4590)
O (0.4573, 0.6841, 0.9177)
O (0.5427, 0.3159, 0.0823)
O (0.5827, 0.7923, 0.5410)
O (0.6636, 0.9546, 0.8846)
O (0.6841, 0.4573, 0.4177)
O (0.7923, 0.5827, 0.0410)
O (0.8153, 0.0695, 0.5855)
O (0.9305, 0.1847, 0.9145)
O (0.9547, 0.6636, 0.3846)

The formation energy comes out at -2.8038 eV/atom. The calculation puts the energy at -7.647 eV/atom. Its MP2020-corrected energy is -213.09 eV/cell.

---

# 3
First-principles (GGA+U) data for MgAlCuW2O8 after structural relaxation, as listed in the Materials Project.

abc: 5.2618 5.7556 6.0310
angles: 80.33 84.72 64.37
Atoms (fractional coordinates):
Mg (0.0000, 0.0000, 0.0000)
Al (0.8857, 0.0774, 0.4721)
Cu (0.4820, 0.0292, 0.0313)
W (0.2187, 0.4836, 0.2100)
W (0.7523, 0.5579, 0.8245)
O (0.1113, 0.2659, 0.4149)
O (0.1274, 0.2961, 0.9590)
O (0.1575, 0.8093, 0.3219)
O (0.3429, 0.6660, 0.9139)
O (0.6444, 0.2592, 0.2421)
O (0.7516, 0.8077, 0.5991)
O (0.7678, 0.2246, 0.7339)
O (0.8160, 0.7267, 0.0743)

The value obtained for the energy above the most stable polymorph in this dataset is 3.71 kcal/mol of atoms. The formation energy comes out at -2.1132 eV/atom. The calculation puts the energy at -6.773 eV/atom. Its MP2020-corrected energy is -102.42 eV/cell.

---

# 4
First-principles (GGA+U) data for Li2V3SnO8 after structural relaxation, as listed in the Materials Project.

abc: 6.0036 6.0049 10.7849
angles: 74.38 89.31 119.67
Atoms (fractional coordinates):
O (0.3976, 0.2663, 0.8832)
Li (0.4412, 0.8765, 0.6822)
Sn (0.7499, 0.4999, 0.7500)
O (0.8975, 0.2661, 0.3833)
O (0.3757, 0.7240, 0.9004)
Li (0.5588, 0.1235, 0.3178)
O (0.8566, 0.2584, 0.8847)
O (0.1434, 0.7417, 0.1153)
Sn (0.2501, 0.5002, 0.2500)
V (0.5003, 0.5003, 0.4999)
O (0.3508, 0.7192, 0.3833)
V (0.0000, 0.4997, 0.5001)
O (0.6243, 0.2759, 0.0997)
O (0.6492, 0.2809, 0.6167)
O (0.3568, 0.2585, 0.3847)
Li (0.0588, 0.1236, 0.8178)
V (0.0000, 0.0000, 0.4999)
V (0.5000, 0.0000, 0.0000)
O (0.6023, 0.7336, 0.1168)
O (0.8509, 0.7192, 0.8833)
O (0.1490, 0.2808, 0.1167)
O (0.1244, 0.2760, 0.5996)
V (0.4999, 0.5000, 0.0000)
O (0.8758, 0.7241, 0.4004)
O (0.1025, 0.7339, 0.6167)
V (0.9999, 0.5000, 0.0001)
Li (0.9412, 0.8764, 0.1822)
O (0.6433, 0.7416, 0.6153)

The value obtained for the energy above the most stable polymorph in this dataset is 0.42 kcal/mol of atoms. The formation energy comes out at -2.4112 eV/atom. The calculation puts the energy at -6.987 eV/atom. Its MP2020-corrected energy is -216.84 eV/cell.

---

# 5
First-principles (GGA+U) data for Cr6O11 after structural relaxation, as listed in the Materials Project.

abc: 5.4729 7.0846 9.6011
angles: 89.55 81.06 72.10
Atoms (fractional coordinates):
Cr (0.1715, 0.3080, 0.0606)
Cr (0.1786, 0.8081, 0.0594)
Cr (0.2286, 0.3595, 0.4135)
Cr (0.2323, 0.8610, 0.4130)
Cr (0.3092, 0.4311, 0.7593)
Cr (0.3123, 0.9244, 0.7623)
Cr (0.6877, 0.0756, 0.2377)
Cr (0.6908, 0.5689, 0.2407)
Cr (0.7677, 0.1390, 0.5870)
Cr (0.7714, 0.6405, 0.5865)
Cr (0.8214, 0.1919, 0.9406)
Cr (0.8285, 0.6920, 0.9394)
O (0.0119, 0.0926, 0.1121)
O (0.0535, 0.4257, 0.2500)
O (0.1007, 0.6399, 0.4738)
O (0.1238, 0.9834, 0.6037)
O (0.1834, 0.2072, 0.8533)
O (0.2127, 0.5452, 0.9630)
O (0.3412, 0.7362, 0.2227)
O (0.3581, 0.0794, 0.3512)
O (0.4076, 0.3000, 0.5742)
O (0.4395, 0.6430, 0.6990)
O (0.4730, 0.8344, 0.9317)
O (0.5270, 0.1656, 0.0683)
O (0.5605, 0.3570, 0.3010)
O (0.5924, 0.7000, 0.4258)
O (0.6419, 0.9206, 0.6488)
O (0.6588, 0.2638, 0.7773)
O (0.7873, 0.4548, 0.0370)
O (0.8166, 0.7928, 0.1467)
O (0.8762, 0.0166, 0.3963)
O (0.8993, 0.3601, 0.5262)
O (0.9465, 0.5743, 0.7500)
O (0.9881, 0.9074, 0.8879)

The formation energy comes out at -2.1234 eV/atom. The calculation puts the energy at -7.582 eV/atom. Its MP2020-corrected energy is -296.89 eV/cell.

---

# 6
First-principles (GGA+U) data for CoF3 after structural relaxation, as listed in the Materials Project.

abc: 5.4481 6.6506 6.6943
angles: 70.43 89.97 89.51
Atoms (fractional coordinates):
Co (0.0000, 0.0000, 0.0000)
Co (0.0028, 0.4998, 0.5005)
Co (0.4991, 0.2470, 0.2471)
Co (0.5031, 0.7499, 0.7500)
F (0.0027, 0.2432, 0.7592)
F (0.0028, 0.7583, 0.2424)
F (0.2413, 0.6186, 0.6184)
F (0.2503, 0.8639, 0.8654)
F (0.2515, 0.1226, 0.1231)
F (0.2706, 0.3724, 0.3797)
F (0.5024, 0.9991, 0.4961)
F (0.5032, 0.4957, 0.9991)
F (0.7416, 0.6274, 0.6259)
F (0.7466, 0.8777, 0.8768)
F (0.7510, 0.1339, 0.1261)
F (0.7733, 0.3783, 0.3786)

The formation energy comes out at -2.1422 eV/atom. The calculation puts the energy at -4.599 eV/atom. Its MP2020-corrected energy is -85.68 eV/cell.

---

# 7
First-principles (GGA+U) data for Ca4Co3Si8NiO24 after structural relaxation, as listed in the Materials Project.

abc: 5.3050 6.7139 13.3861
angles: 90.62 101.20 101.62
Atoms (fractional coordinates):
Ca (0.0000, 0.0000, 0.0000)
Ca (0.2021, 0.4059, 0.7028)
Ca (0.5005, 0.9990, 0.4996)
Ca (0.7030, 0.4059, 0.2028)
Co (0.3047, 0.6100, 0.3050)
Co (0.8047, 0.6102, 0.8050)
Co (0.8985, 0.7964, 0.3983)
Si (0.0627, 0.5085, 0.0408)
Si (0.1407, 0.8974, 0.6620)
Si (0.2328, 0.0822, 0.2541)
Si (0.4696, 0.3230, 0.9485)
Si (0.5617, 0.5080, 0.5410)
Si (0.6400, 0.8969, 0.1613)
Si (0.7320, 0.0816, 0.7542)
Si (0.9694, 0.3235, 0.4484)
Ni (0.3977, 0.7946, 0.8976)
O (0.0612, 0.6754, 0.9539)
O (0.0862, 0.5884, 0.1563)
O (0.1162, 0.8169, 0.5466)
O (0.1471, 0.7321, 0.7494)
O (0.2339, 0.9085, 0.3373)
O (0.2732, 0.3348, 0.5172)
O (0.2914, 0.3708, 0.0354)
O (0.3387, 0.0923, 0.9086)
O (0.3637, 0.3128, 0.2941)
O (0.4109, 0.0343, 0.1673)
O (0.4290, 0.0709, 0.6854)
O (0.4683, 0.4984, 0.8661)
O (0.5569, 0.6749, 0.4542)
O (0.5861, 0.5883, 0.6563)
O (0.6159, 0.8176, 0.0457)
O (0.6456, 0.7315, 0.2484)
O (0.7301, 0.9075, 0.8375)
O (0.7738, 0.3354, 0.0169)
O (0.7915, 0.3715, 0.5354)
O (0.8379, 0.0933, 0.4086)
O (0.8635, 0.3121, 0.7941)
O (0.9106, 0.0338, 0.6676)
O (0.9290, 0.0703, 0.1855)
O (0.9685, 0.4974, 0.3656)

The formation energy comes out at -2.9507 eV/atom. The calculation puts the energy at -7.284 eV/atom. Its MP2020-corrected energy is -315.31 eV/cell.

---

# 8
First-principles (GGA+U) data for Li9Co9O17 after structural relaxation, as listed in the Materials Project.

abc: 6.6252 7.7392 7.8067
angles: 64.98 85.68 65.21
Atoms (fractional coordinates):
Li (0.0000, 0.0000, 0.0000)
Li (0.0784, 0.5685, 0.1001)
Li (0.1959, 0.1204, 0.2128)
Li (0.3019, 0.6798, 0.3222)
Li (0.4129, 0.2354, 0.4323)
Li (0.5242, 0.7872, 0.5431)
Li (0.6276, 0.3656, 0.6351)
Li (0.7533, 0.8781, 0.7554)
Li (0.8517, 0.4556, 0.8742)
Co (0.0807, 0.0671, 0.5995)
Co (0.1920, 0.6200, 0.7118)
Co (0.2839, 0.1784, 0.8198)
Co (0.4175, 0.7310, 0.9356)
Co (0.5196, 0.2952, 0.0493)
Co (0.6337, 0.8379, 0.1611)
Co (0.7468, 0.4073, 0.2612)
Co (0.8605, 0.9555, 0.3776)
Co (0.9685, 0.5096, 0.4866)
O (0.0709, 0.3148, 0.3554)
O (0.0891, 0.8105, 0.8406)
O (0.1827, 0.8735, 0.4711)
O (0.2262, 0.3592, 0.9601)
O (0.2872, 0.4319, 0.5795)
O (0.3164, 0.9306, 0.0631)
O (0.4102, 0.9715, 0.6947)
O (0.4200, 0.5005, 0.1747)
O (0.5178, 0.5170, 0.8128)
O (0.5358, 0.0550, 0.2673)
O (0.6531, 0.5828, 0.4053)
O (0.7400, 0.6563, 0.0174)
O (0.7550, 0.1434, 0.5077)
O (0.8293, 0.2159, 0.1252)
O (0.8690, 0.7011, 0.6188)
O (0.9570, 0.7717, 0.2458)
O (0.9627, 0.2569, 0.7266)

The formation energy comes out at -1.5812 eV/atom. The calculation puts the energy at -5.548 eV/atom. Its MP2020-corrected energy is -220.61 eV/cell.

---

- The highest energy belongs to which entry?
  CoF3

---

- Which of these has the highest energy?
  CoF3